Below is ZnCo2O5 after structural relaxation, with properties calculated at the r2SCAN level.

Cell and atoms, written as POSCAR:
```
ZnCo2O5
1.0
1.782 -4.959 0.000
1.782 4.959 0.000
0.000 0.001 10.995
O Zn Co
10 2 4
Direct
0.246 0.754 0.576
0.042 0.958 0.123
0.754 0.246 0.076
0.958 0.042 0.623
0.958 0.042 0.877
0.246 0.754 0.924
0.312 0.688 0.250
0.042 0.958 0.377
0.688 0.312 0.750
0.754 0.246 0.424
0.902 0.098 0.250
0.098 0.902 0.750
0.208 0.792 0.402
0.792 0.208 0.902
0.792 0.208 0.598
0.208 0.792 0.097
```

- Calculated density: 4.498 g/cm³
- Raw total energy: -9.12 eV/atom
- Formation energy from the elements: -0.96 eV/atom
- Symmetry: Cmcm